Below is an optimized crystal structure of KCaH6N3, with properties calculated at the PBE level.

DFT formation energy ... -0.6073 eV per atom
Energy ... -4.916 eV per atom

Cell: 11.8715 6.6116 6.6839 Å, 73.44 90.00 90.00°
Fractional positions:
K: 0.0919 0.1329 0.2623
K: 0.4081 0.6329 0.2623
K: 0.5919 0.3671 0.7377
K: 0.9081 0.8671 0.7377
Ca: 0.7621 0.0842 0.1821
Ca: 0.7379 0.5842 0.1821
Ca: 0.2621 0.4158 0.8179
Ca: 0.2379 0.9158 0.8179
H: 0.4171 0.0867 0.0373
H: 0.0829 0.5867 0.0373
H: 0.5106 0.3242 0.1254
H: 0.3300 0.0954 0.2178
H: 0.9894 0.8242 0.1254
H: 0.1700 0.5954 0.2178
H: 0.5723 0.2320 0.3436
H: 0.2845 0.2965 0.4191
H: 0.8916 0.3447 0.4800
H: 0.9277 0.7320 0.3436
H: 0.3916 0.1553 0.5200
H: 0.2155 0.7965 0.4191
H: 0.7845 0.2035 0.5809
H: 0.6084 0.8447 0.4800
H: 0.0723 0.2680 0.6564
H: 0.1084 0.6553 0.5200
H: 0.7155 0.7035 0.5809
H: 0.4277 0.7680 0.6564
H: 0.8300 0.4046 0.7822
H: 0.0106 0.1758 0.8746
H: 0.6700 0.9046 0.7822
H: 0.4894 0.6758 0.8746
H: 0.9171 0.4133 0.9627
H: 0.5829 0.9133 0.9627
N: 0.3323 0.0788 0.0691
N: 0.1677 0.5788 0.0691
N: 0.5865 0.3319 0.1961
N: 0.9135 0.8319 0.1961
N: 0.8241 0.2669 0.4398
N: 0.6759 0.7669 0.4398
N: 0.3241 0.2331 0.5602
N: 0.1759 0.7331 0.5602
N: 0.0865 0.1681 0.8039
N: 0.4135 0.6681 0.8039
N: 0.8323 0.4212 0.9309
N: 0.6677 0.9212 0.9309

***

Below is an optimized crystal structure of KCa2P4H11O18, with properties calculated at the PBE level.

DFT formation energy ... -2.2088 eV per atom
M_tot ... 0.00 μB per formula unit
Energy ... -6.120 eV per atom

Cell: 5.7008 6.3536 12.2859 Å, 103.52 84.39 115.00°
Fractional positions:
K: 0.5109 0.0144 0.4657
Ca: 0.9966 0.2938 0.0946
Ca: 0.0032 0.6990 0.8945
P: 0.8583 0.6272 0.3618
P: 0.4994 0.2086 0.9002
P: 0.5046 0.7880 0.0898
P: 0.1657 0.3833 0.6335
H: 0.0106 0.5010 0.4984
H: 0.9687 0.9363 0.6999
H: 0.7345 0.6882 0.6925
H: 0.5232 0.5019 0.4879
H: 0.6340 0.5920 0.1875
H: 0.3763 0.0704 0.1921
H: 0.6236 0.9332 0.7917
H: 0.3680 0.4100 0.8074
H: 0.2622 0.3111 0.3013
H: 0.0235 0.0194 0.5159
H: 0.0433 0.0571 0.2974
O: 0.9493 0.4081 0.5770
O: 0.7522 0.3173 0.9638
O: 0.8588 0.5575 0.2341
O: 0.8503 0.8275 0.7471
O: 0.9030 0.8927 0.4016
O: 0.5345 0.0352 0.1709
O: 0.5336 0.4020 0.8308
O: 0.5808 0.4605 0.4018
O: 0.2455 0.1381 0.9637
O: 0.7616 0.8559 0.0292
O: 0.4387 0.5367 0.5963
O: 0.4703 0.6050 0.1661
O: 0.1168 0.1057 0.5931
O: 0.4649 0.9665 0.8134
O: 0.1527 0.1673 0.2479
O: 0.1410 0.4276 0.7608
O: 0.2548 0.6726 0.0237
O: 0.0689 0.5889 0.4160

***

Below is an optimized crystal structure of KCa2P4H9O17, with properties calculated at the PBE level.

DFT formation energy ... -2.2855 eV per atom
M_tot ... 0.00 μB per formula unit
Energy ... -6.217 eV per atom

Cell: 19.4282 7.4395 12.9257 Å, 55.58 90.00 90.00°
Fractional positions:
K: 0.8976 0.1933 0.6584
K: 0.6024 0.1933 0.1584
K: 0.1024 0.8067 0.3416
K: 0.3976 0.8067 0.8416
Ca: 0.7550 0.6677 0.9245
Ca: 0.7450 0.6677 0.4245
Ca: 0.2450 0.3323 0.0755
Ca: 0.2550 0.3323 0.5755
Ca: 0.7306 0.2478 0.8444
Ca: 0.7694 0.2478 0.3444
Ca: 0.2694 0.7522 0.1556
Ca: 0.2306 0.7522 0.6556
P: 0.9012 0.8337 0.4937
P: 0.5988 0.8337 0.9937
P: 0.0988 0.1663 0.5063
P: 0.4012 0.1663 0.0063
P: 0.8857 0.5652 0.7758
P: 0.6143 0.5652 0.2758
P: 0.1143 0.4348 0.2242
P: 0.3857 0.4348 0.7242
P: 0.7241 0.1835 0.6313
P: 0.7759 0.1835 0.1313
P: 0.2759 0.8165 0.3687
P: 0.2241 0.8165 0.8687
P: 0.6760 0.8144 0.6291
P: 0.8240 0.8144 0.1291
P: 0.3240 0.1856 0.3709
P: 0.1760 0.1856 0.8709
H: 0.0031 0.6675 0.5455
H: 0.4969 0.6675 0.0455
H: 0.9969 0.3325 0.4545
H: 0.5031 0.3325 0.9545
H: 0.9963 0.5655 0.8209
H: 0.5037 0.5655 0.3209
H: 0.0037 0.4345 0.1791
H: 0.4963 0.4345 0.6791
H: 0.5762 0.8268 0.5365
H: 0.9238 0.8268 0.0365
H: 0.4238 0.1732 0.4635
H: 0.0762 0.1732 0.9635
H: 0.5920 0.3558 0.6291
H: 0.9080 0.3558 0.1291
H: 0.4080 0.6442 0.3709
H: 0.0920 0.6442 0.8709
H: 0.5683 0.1976 0.7652
H: 0.9317 0.1976 0.2652
H: 0.4317 0.8024 0.2348
H: 0.0683 0.8024 0.7348
H: 0.5491 0.6026 0.7864
H: 0.9509 0.6026 0.2864
H: 0.4509 0.3974 0.2136
H: 0.0491 0.3974 0.7136
H: 0.5776 0.5920 0.9055
H: 0.9224 0.5920 0.4055
H: 0.4224 0.4080 0.0945
H: 0.0776 0.4080 0.5945
H: 0.0014 0.8847 0.8963
H: 0.4986 0.8847 0.3963
H: 0.9986 0.1153 0.1037
H: 0.5014 0.1153 0.6037
H: 0.9297 0.7909 0.8922
H: 0.5703 0.7909 0.3922
H: 0.0703 0.2091 0.1078
H: 0.4297 0.2091 0.6078
O: 0.8638 0.6643 0.4826
O: 0.6362 0.6643 0.9826
O: 0.1362 0.3357 0.5174
O: 0.3638 0.3357 0.0174
O: 0.9814 0.8181 0.4823
O: 0.5186 0.8181 0.9823
O: 0.0186 0.1819 0.5177
O: 0.4814 0.1819 0.0177
O: 0.8793 0.0680 0.4010
O: 0.6207 0.0680 0.9010
O: 0.1207 0.9320 0.5990
O: 0.3793 0.9320 0.0990
O: 0.8888 0.7840 0.6315
O: 0.6112 0.7840 0.1316
O: 0.1112 0.2160 0.3684
O: 0.3888 0.2160 0.8684
O: 0.8407 0.3978 0.7789
O: 0.6593 0.3978 0.2789
O: 0.1593 0.6022 0.2211
O: 0.3407 0.6022 0.7211
O: 0.9613 0.4720 0.8105
O: 0.5387 0.4720 0.3105
O: 0.0387 0.5280 0.1895
O: 0.4613 0.5280 0.6895
O: 0.8651 0.6556 0.8515
O: 0.6349 0.6556 0.3515
O: 0.1349 0.3444 0.1485
O: 0.3651 0.3444 0.6485
O: 0.7609 0.0380 0.7573
O: 0.7391 0.0380 0.2573
O: 0.2391 0.9620 0.2427
O: 0.2609 0.9620 0.7427
O: 0.6879 0.3719 0.6260
O: 0.8121 0.3719 0.1260
O: 0.3121 0.6281 0.3740
O: 0.1879 0.6281 0.8740
O: 0.7713 0.2752 0.5170
O: 0.7287 0.2752 0.0170
O: 0.2287 0.7248 0.4830
O: 0.2713 0.7248 0.9830
O: 0.6650 0.0368 0.6241
O: 0.8350 0.0368 0.1241
O: 0.3350 0.9632 0.3759
O: 0.1650 0.9632 0.8759
O: 0.7051 0.6386 0.7563
O: 0.7949 0.6386 0.2563
O: 0.2949 0.3614 0.2437
O: 0.2051 0.3614 0.7437
O: 0.5982 0.7567 0.6235
O: 0.9018 0.7567 0.1235
O: 0.4018 0.2433 0.3765
O: 0.0982 0.2433 0.8765
O: 0.7169 0.8722 0.5144
O: 0.7831 0.8722 0.0144
O: 0.2831 0.1278 0.4856
O: 0.2169 0.1278 0.9856
O: 0.5496 0.2844 0.6780
O: 0.9504 0.2844 0.1780
O: 0.4504 0.7156 0.3220
O: 0.0496 0.7156 0.8220
O: 0.5381 0.5530 0.8730
O: 0.9619 0.5530 0.3730
O: 0.4619 0.4470 0.1270
O: 0.0381 0.4470 0.6270
O: 0.9515 0.8996 0.9035
O: 0.5485 0.8996 0.4035
O: 0.0485 0.1004 0.0965
O: 0.4515 0.1004 0.5965